1.
Compound: BaSrYWO6
Source: the Materials Project
Functional: GGA+U
Structure: relaxed

Computed properties:
ΔH_f (0 K): -3.1291 eV per atom
Total magnetization: 0.100 μB/atom

Cell: 8.4207 8.4445 8.4626 Å, 90.00 90.00 90.00°
Last column: nearest neighbours and their distance in Å.
Space group P222 (No. 16)
One atom of each set of equivalent atoms:
Ba  0.0000  0.0000  0.0000  12 O 3.03-3.04
Ba  0.0000  0.0000  0.5000  8 O 2.72-3.01
Ba  0.0000  0.5000  0.0000  8 O 2.71-3.02
Ba  0.5000  0.5000  0.5000  12 O 3.00-3.03
Sr  0.0000  0.5000  0.5000  4 O 2.62
Sr  0.5000  0.0000  0.0000  4 O 2.62
Sr  0.5000  0.0000  0.5000  4 O 2.60
Sr  0.5000  0.5000  0.0000  4 O 2.61
Y  0.2521  0.2504  0.2501  6 O 2.24-2.28
W  0.2525  0.2504  0.7503  6 O 2.00-2.04
O  0.0164  0.2292  0.7256  1 W 2.01
O  0.2195  0.4856  0.7183  1 W 2.02, 1 Y 2.26
O  0.2299  0.2752  0.9875  1 W 2.03, 1 Y 2.24
O  0.2819  0.2182  0.5132  1 W 2.04, 1 Y 2.26
O  0.2830  0.0143  0.7779  1 W 2.02, 1 Y 2.26
O  0.4853  0.2806  0.7824  1 W 2.00


2.
Compound: Fe3P2O16
Source: the Materials Project
Functional: GGA+U
Structure: relaxed

Computed properties:
ΔH_f (0 K): -1.1545 eV per atom
Total magnetization: 0.667 μB/atom

Cell: 7.8059 9.3697 10.4294 Å, 65.26 89.19 82.31°
Last column: nearest neighbours and their distance in Å.
Space group P-1 (No. 2)
One atom of each set of equivalent atoms:
Fe  0.1332  0.0126  0.2743  4 O 1.91-2.07
Fe  0.3240  0.4850  0.3942  4 O 1.86-1.94
Fe  0.3642  0.9765  0.7904  5 O 1.92-2.15
P  0.1153  0.1789  0.5027  4 O 1.54-1.56
P  0.4075  0.8091  0.1442  4 O 1.53-1.56
O  0.0029  0.3643  0.8242  1 O 1.23
O  0.0186  0.5759  0.0909  1 O 1.23
O  0.0449  0.8255  0.4063  1 P 1.55
O  0.0748  0.1322  0.3829  1 P 1.54
O  0.0962  0.9068  0.8472  1 O 1.33
O  0.1537  0.3533  0.4349  1 P 1.56
O  0.2028  0.7958  0.8268  1 O 1.33
O  0.2455  0.9117  0.1640  1 P 1.55
O  0.2729  0.0676  0.5965  1 P 1.55
O  0.2858  0.1985  0.1629  1 O 1.32
O  0.3288  0.5637  0.5384  1 O 1.35
O  0.3814  0.6314  0.2176  1 P 1.56
O  0.4003  0.1046  0.2658  1 O 1.32
O  0.4291  0.1694  0.7858  1 P 1.56
O  0.4312  0.8531  0.9869  1 P 1.53
O  0.4586  0.6504  0.5233  1 O 1.35


3.
Compound: LiCoPO4
Source: the Materials Project
Functional: GGA+U
Structure: relaxed

Computed properties:
ΔH_f (0 K): -2.3518 eV per atom
Total magnetization: 0.429 μB/atom

Cell: 10.1969 6.0255 4.7628 Å, 90.00 90.00 90.00°
Last column: nearest neighbours and their distance in Å.
Space group Pnma (No. 62)
One atom of each set of equivalent atoms:
Li  0.0000  0.0000  0.0000  6 O 2.12-2.21
Co  0.2243  0.2500  0.4803  6 O 2.07-2.19
P  0.0930  0.7500  0.4118  4 O 1.54-1.57
O  0.0503  0.2500  0.7027  1 P 1.56
O  0.0998  0.7500  0.7345  1 P 1.54
O  0.1623  0.5448  0.2710  1 P 1.57


4.
Compound: Li9Mn2Co5O16
Source: the Materials Project
Functional: GGA+U
Structure: relaxed

Computed properties:
ΔH_f (0 K): -1.8455 eV per atom
Total magnetization: 0.188 μB/atom

Cell: 8.3730 2.9212 11.7796 Å, 90.00 90.29 90.00°
Last column: nearest neighbours and their distance in Å.
Space group P2/m (No. 10)
One atom of each set of equivalent atoms:
Li  0.0000  0.0000  0.0000  6 O 2.12-2.15
Li  0.0000  0.0000  0.5000  6 O 2.08-2.15
Li  0.2522  0.5000  0.1229  6 O 2.11-2.21
Li  0.2667  0.5000  0.6239  6 O 2.13-2.36
Li  0.4993  0.0000  0.2558  6 O 2.02-2.20
Li  0.5000  0.0000  0.5000  6 O 2.09-2.12
Mn  0.2614  0.5000  0.3778  5 O 1.83-1.99
Co  0.0001  0.0000  0.2514  6 O 2.00-2.07
Co  0.2503  0.5000  0.8736  6 O 2.01-2.08
Co  0.5000  0.0000  0.0000  6 O 2.00-2.07
O  0.0024  0.5000  0.8656  3 Co 2.01-2.08, 3 Li 2.14-2.15
O  0.0146  0.5000  0.3665  2 Co 2.00, 1 Mn 2.07, 2 Li 2.15
O  0.2446  0.0000  0.7560  3 Co 2.01-2.05, 3 Li 2.14-2.15
O  0.2469  0.0000  0.2632  2 Mn 1.99, 1 Co 2.07, 3 Li 2.12-2.21
O  0.2477  0.0000  0.4867  2 Mn 1.95, 2 Li 2.08-2.12
O  0.2526  0.0000  0.9907  3 Co 2.01-2.07, 3 Li 2.12-2.14
O  0.4794  0.5000  0.3734  1 Mn 1.83, 2 Li 2.02
O  0.4959  0.5000  0.8840  3 Co 2.00-2.06, 3 Li 2.11-2.20


5.
Compound: MgFe6O6F6
Source: the Materials Project
Functional: GGA+U
Structure: relaxed

Computed properties:
ΔH_f (0 K): -2.1338 eV per atom
Total magnetization: 1.474 μB/atom

Cell: 5.8848 6.0020 7.8565 Å, 106.99 98.91 113.01°
Last column: nearest neighbours and their distance in Å.
Space group P1 (No. 1)
One atom of each set of equivalent atoms:
Mg  0.0000  0.0000  0.0000  2 O 1.99-2.01, 4 F 2.00-2.10
Fe  0.0350  0.0220  0.5083  2 O 1.99-2.06, 1 F 2.07
Fe  0.2897  0.5509  0.3674  4 O 1.91-2.01
Fe  0.3597  0.9569  0.7969  3 O 1.87-2.07, 1 F 1.99
Fe  0.6297  0.0098  0.1901  2 O 1.96-2.05, 2 F 2.10
Fe  0.6718  0.4477  0.6442  3 O 1.92-2.01, 1 F 1.98
Fe  0.9958  0.4985  0.0036  4 O 1.94-2.07, 1 F 2.16
O  0.0265  0.6967  0.8264  3 Fe 2.01-2.07, 1 Mg 2.01
O  0.2309  0.8088  0.5364  3 Fe 1.87-2.06
O  0.3231  0.3297  0.5000  3 Fe 1.92-1.99
O  0.3477  0.6838  0.1719  3 Fe 1.94-1.96
O  0.6355  0.2924  0.8284  3 Fe 1.93-1.99
O  0.9513  0.2880  0.1671  1 Mg 1.99, 3 Fe 2.01-2.05
F  0.0709  0.1829  0.8185  1 Mg 2.04, 1 Fe 2.27
F  0.3864  0.1467  0.0822  1 Mg 2.00, 2 Fe 2.10-2.15
F  0.5985  0.8191  0.8719  1 Fe 1.99, 1 Mg 2.10
F  0.7054  0.7113  0.4967  3 Fe 2.07-2.19
F  0.7773  0.2111  0.4817  2 Fe 1.98-2.10
F  0.9227  0.8038  0.1718  1 Mg 2.03, 1 Fe 2.16


6.
Compound: Na2EuMnO6
Source: the Materials Project
Functional: GGA+U
Structure: relaxed

Computed properties:
ΔH_f (0 K): -1.4512 eV per atom
Total magnetization: 0.678 μB/atom

Cell: 8.9435 8.9435 8.9435 Å, 90.00 90.00 90.00°
Last column: nearest neighbours and their distance in Å.
Space group Pn-3 (No. 201, origin choice 2)
One atom of each set of equivalent atoms:
Na  0.2500  0.2500  0.2500  12 O 3.16
Na  0.2500  0.2500  0.7500  4 O 2.64
Eu  0.0000  0.0000  0.0000  6 O 2.53
Mn  0.0000  0.0000  0.5000  6 O 2.07
O  0.0373  0.5464  0.7762  1 Mn 2.07


7.
Compound: Li3NiB2O6
Source: the Materials Project
Functional: GGA+U
Structure: relaxed

Computed properties:
ΔH_f (0 K): -2.2751 eV per atom
Total magnetization: 0.250 μB/atom

Cell: 4.9844 6.3089 8.0522 Å, 74.46 89.41 89.71°
Last column: nearest neighbours and their distance in Å.
Space group P-1 (No. 2)
One atom of each set of equivalent atoms:
Li  0.1702  0.2603  0.3900  4 O 1.93-2.00
Li  0.1733  0.9754  0.7419  3 O 1.92-2.02
Li  0.3243  0.1072  0.0730  4 O 1.95-2.09
Ni  0.3480  0.4482  0.7243  4 O 1.84-1.90
B  0.1671  0.6754  0.0902  3 O 1.35-1.41
B  0.3397  0.8275  0.4274  3 O 1.35-1.43
O  0.1158  0.3295  0.9043  1 B 1.41
O  0.2088  0.9917  0.3148  1 B 1.35
O  0.2199  0.7184  0.5865  1 B 1.41
O  0.2940  0.8372  0.9710  1 B 1.35
O  0.3009  0.5112  0.2144  1 B 1.40
O  0.3906  0.2313  0.6016  1 B 1.43


8.
Compound: Mn3OF5
Source: the Materials Project
Functional: GGA+U
Structure: relaxed

Computed properties:
ΔH_f (0 K): -2.7250 eV per atom
Total magnetization: 1.556 μB/atom

Cell: 4.9510 3.2219 14.8054 Å, 90.00 92.49 90.00°
Last column: nearest neighbours and their distance in Å.
Space group P2/m (No. 10)
One atom of each set of equivalent atoms:
Mn  0.0000  0.0000  0.0000  6 F 2.12-2.19
Mn  0.0158  0.0000  0.6722  1 O 1.95, 5 F 2.11-2.15
Mn  0.4761  0.5000  0.8253  2 O 2.01, 4 F 2.13-2.21
Mn  0.5000  0.5000  0.5000  6 F 2.15
O  0.3029  0.0000  0.7665  3 Mn 1.95-2.01
F  0.1881  0.5000  0.2683  3 Mn 2.11-2.21
F  0.1956  0.5000  0.5991  3 Mn 2.15
F  0.2005  0.5000  0.9379  3 Mn 2.12-2.20
F  0.2927  0.0000  0.4309  3 Mn 2.11-2.15
F  0.3190  0.0000  0.1071  3 Mn 2.13-2.19


9.
Compound: ZnNi2O5
Source: the Materials Project
Functional: GGA+U
Structure: relaxed

Computed properties:
ΔH_f (0 K): -0.6969 eV per atom
Total magnetization: 0.461 μB/atom

Cell: 3.2847 4.9055 11.6316 Å, 90.00 106.26 90.00°
Last column: nearest neighbours and their distance in Å.
Space group P2/c (No. 13)
One atom of each set of equivalent atoms:
Zn  0.0000  0.0870  0.2500  6 O 2.14-2.24
Ni  0.3521  0.4428  0.6014  5 O 1.83-1.91
O  0.1825  0.3799  0.4325  3 Ni 1.89-1.91
O  0.3936  0.0859  0.6497  1 Ni 1.83
O  0.5000  0.3985  0.2500  2 Ni 1.83


10.
Compound: Li4Co5SnO12
Source: the Materials Project
Functional: GGA+U
Structure: relaxed

Computed properties:
ΔH_f (0 K): -1.6767 eV per atom
Total magnetization: 0.045 μB/atom

Cell: 4.9950 8.6662 9.8322 Å, 90.00 99.40 90.00°
Last column: nearest neighbours and their distance in Å.
Space group C2/m (No. 12)
One atom of each set of equivalent atoms:
Li  0.0872  0.1663  0.2589  6 O 2.13-2.17
Co  0.0000  0.0000  0.5000  6 O 1.89-1.93
Co  0.0000  0.1666  0.0000  6 O 1.94
Co  0.0000  0.3345  0.5000  6 O 1.92-1.95
Sn  0.0000  0.5000  0.0000  6 O 2.08
O  0.1073  0.0000  0.8890  2 Co 1.94, 1 Sn 2.08, 2 Li 2.16
O  0.1426  0.3216  0.8889  2 Co 1.94, 1 Sn 2.08, 2 Li 2.14-2.17
O  0.1942  0.1683  0.6006  3 Co 1.92-1.95, 1 Li 2.13
O  0.2088  0.5000  0.6016  3 Co 1.89-1.95


11.
Compound: Li5Ti6FeO16
Source: the Materials Project
Functional: GGA+U
Structure: relaxed

Computed properties:
ΔH_f (0 K): -3.0345 eV per atom
Total magnetization: 0.179 μB/atom

Cell: 5.9563 5.9718 8.4548 Å, 90.00 90.33 90.00°
Last column: nearest neighbours and their distance in Å.
Space group Pm (No. 6)
One atom of each set of equivalent atoms:
Li  0.0000  0.0000  0.0000  4 O 1.99-2.03
Li  0.0287  0.5000  0.2567  4 O 2.02-2.07
Li  0.2676  0.5000  0.8793  6 O 2.05-2.13
Li  0.5029  0.5000  0.4954  4 O 1.99-2.06
Li  0.7603  0.0000  0.3764  6 O 2.09-2.15
Ti  0.0144  0.2587  0.6242  6 O 1.90-2.09
Ti  0.2565  0.0000  0.3695  6 O 1.94-2.16
Ti  0.5144  0.2514  0.1361  6 O 1.88-2.10
Ti  0.7842  0.5000  0.8830  4 O 1.87-2.09
Fe  0.5257  0.0000  0.7619  4 O 1.89-1.99
O  0.0271  0.2262  0.4009  2 Ti 1.90-1.94, 2 Li 2.04-2.09
O  0.2244  0.5000  0.6300  2 Ti 1.91, 2 Li 2.02-2.12
O  0.2515  0.0000  0.6254  1 Fe 1.99, 3 Ti 2.09-2.16
O  0.2783  0.0000  0.1400  3 Ti 1.95-2.06, 1 Li 2.03
O  0.3053  0.5000  0.1205  2 Ti 1.94, 2 Li 2.02-2.05
O  0.4935  0.2294  0.3579  2 Ti 1.88-1.97, 2 Li 1.99-2.10
O  0.5250  0.2627  0.8874  1 Fe 1.89, 1 Li 2.09, 2 Ti 2.10
O  0.7211  0.0000  0.1274  2 Ti 1.94, 2 Li 1.99-2.12
O  0.7442  0.5000  0.1148  3 Ti 1.98-2.03, 1 Li 2.07
O  0.7860  0.5000  0.6358  3 Ti 1.98-2.09, 1 Li 2.06
O  0.7870  0.0000  0.6295  1 Fe 1.92, 2 Ti 2.06, 1 Li 2.15
O  0.9942  0.2705  0.8585  2 Ti 1.87-1.99, 1 Li 2.01


12.
Compound: Mn12O7F17
Source: the Materials Project
Functional: GGA+U
Structure: relaxed

Computed properties:
ΔH_f (0 K): -2.5512 eV per atom
Total magnetization: 1.472 μB/atom

Cell: 4.9088 5.5737 16.1141 Å, 96.69 90.31 93.36°
Last column: nearest neighbours and their distance in Å.
Space group P1 (No. 1)
One atom of each set of equivalent atoms:
Mn  0.0000  0.0000  0.0000  2 O 1.94-1.95, 2 F 1.96-2.04
Mn  0.0038  0.8850  0.6756  2 O 1.93-1.96, 3 F 2.04-2.16
Mn  0.3892  0.8992  0.2057  2 O 2.05-2.18, 4 F 2.06-2.25
Mn  0.4303  0.4009  0.3384  3 O 1.93-2.00, 2 F 2.10-2.13
Mn  0.4471  0.3688  0.6761  1 O 1.88, 4 F 2.01-2.10
Mn  0.4838  0.0285  0.5123  4 F 1.99-2.17, 1 O 2.08
Mn  0.4886  0.0710  0.8474  3 O 1.97-2.03, 2 F 2.08-2.19
Mn  0.4932  0.4778  0.0059  1 O 1.99, 4 F 2.03-2.11
Mn  0.9359  0.5143  0.4899  1 O 2.09, 4 F 2.10-2.22
Mn  0.9601  0.8623  0.3403  3 O 1.95-2.01, 2 F 2.03-2.18
Mn  0.9857  0.6417  0.8384  2 O 1.91-1.92, 3 F 1.99-2.10
Mn  0.9918  0.4032  0.1846  4 F 2.06-2.27, 1 O 2.15
O  0.1901  0.1162  0.2943  3 Mn 1.97-2.05
O  0.2020  0.8636  0.7800  3 Mn 1.92-2.00
O  0.2167  0.6316  0.2817  4 Mn 2.00-2.18
O  0.2642  0.0885  0.6220  3 Mn 1.88-2.08
O  0.3020  0.1754  0.9520  3 Mn 1.94-1.99
O  0.7293  0.6138  0.3863  3 Mn 1.93-2.09
O  0.8011  0.9040  0.8949  3 Mn 1.91-2.03
F  0.1858  0.0817  0.1142  3 Mn 2.04-2.27
F  0.1977  0.8052  0.4524  3 Mn 1.99-2.21
F  0.2016  0.5778  0.6148  2 Mn 2.05-2.16
F  0.2131  0.3782  0.7830  2 Mn 2.02-2.07
F  0.2330  0.6744  0.9465  2 Mn 2.04-2.10
F  0.2737  0.5923  0.1139  3 Mn 2.11-2.17
F  0.2886  0.3255  0.4559  3 Mn 2.10-2.24
F  0.6510  0.2442  0.2345  3 Mn 2.06-2.25
F  0.6852  0.1238  0.7363  3 Mn 2.08-2.27
F  0.7125  0.3230  0.5747  3 Mn 2.09-2.10
F  0.7239  0.6288  0.7237  3 Mn 2.01-2.24
F  0.7304  0.4078  0.8883  2 Mn 1.99-2.19
F  0.7298  0.7807  0.0468  2 Mn 1.96-2.03
F  0.7461  0.1109  0.4103  2 Mn 2.03-2.17
F  0.7621  0.7559  0.2191  2 Mn 2.06-2.18
F  0.7700  0.8218  0.5698  3 Mn 2.04-2.22
F  0.7767  0.3014  0.0639  3 Mn 2.03-2.22


> Which formula does entry 10 have?

Li4Co5SnO12